Entry 1:
# CrB2

CrB2 after structural relaxation (PBE, the Materials Project database).

Output
formation enthalpy at 0 K: -340 meV per atom
calculated volume: 7.66 Å³ per atom

Cell and atoms, written as CIF:
```
data_CrB2
_symmetry_space_group_name_H-M 'P 6/m m m'
_symmetry_Int_Tables_number 191
_symmetry_space_group_name_Hall '-P 6 2'
_cell_length_a 2.9593
_cell_length_b 2.9593
_cell_length_c 3.0319
_cell_angle_alpha 90.00
_cell_angle_beta 90.00
_cell_angle_gamma 120.00
loop_
_atom_site_label
_atom_site_fract_x
_atom_site_fract_y
_atom_site_fract_z
Cr1 0.0000 0.0000 0.0000
B1 0.3333 0.6667 0.5000
```

---

Entry 2:
# CrB

CrB after structural relaxation (PBE, the Materials Project database).

Output
formation enthalpy at 0 K: -520 meV per atom
calculated volume: 8.38 Å³ per atom

Cell and atoms, written as CIF:
```
data_CrB
_symmetry_space_group_name_H-M 'C m c m'
_symmetry_Int_Tables_number 63
_symmetry_space_group_name_Hall '-C 2c 2'
_cell_length_a 2.9266
_cell_length_b 7.8509
_cell_length_c 2.9164
_cell_angle_alpha 90.00
_cell_angle_beta 90.00
_cell_angle_gamma 90.00
loop_
_atom_site_label
_atom_site_fract_x
_atom_site_fract_y
_atom_site_fract_z
Cr1 0.0000 0.1455 0.2500
B1 0.0000 0.4356 0.2500
```

---

Entry 3:
# CrB

CrB after structural relaxation (PBE, the Materials Project database).

Output
formation enthalpy at 0 K: -529 meV per atom
calculated volume: 8.32 Å³ per atom

Cell and atoms, written as CIF:
```
data_CrB
_symmetry_space_group_name_H-M 'I 41/a m d'
_symmetry_Int_Tables_number 141
_cell_length_a 2.9136
_cell_length_b 2.9136
_cell_length_c 15.6810
_cell_angle_alpha 90.00
_cell_angle_beta 90.00
_cell_angle_gamma 90.00
loop_
_symmetry_equiv_pos_as_xyz
'x,y,z'
'-x,-y,-z'
'-y+1/4,x+3/4,z+1/4'
'y+1/4,-x+3/4,-z+1/4'
'-x+1/2,-y,z+1/2'
'x+1/2,y,-z+1/2'
'y+1/4,-x+1/4,z+3/4'
'-y+1/4,x+1/4,-z+3/4'
'x,-y,-z'
'-x,y,z'
'-y+1/4,-x+1/4,-z+3/4'
'y+1/4,x+1/4,z+3/4'
'-x+1/2,y,-z+1/2'
'x+1/2,-y,z+1/2'
'y+1/4,x+3/4,-z+1/4'
'-y+1/4,-x+3/4,z+1/4'
'x+1/2,y+1/2,z+1/2'
'-x+1/2,-y+1/2,-z+1/2'
'-y+3/4,x+1/4,z+3/4'
'y+3/4,-x+1/4,-z+3/4'
'-x,-y+1/2,z'
'x,y+1/2,-z'
'y+3/4,-x+3/4,z+1/4'
'-y+3/4,x+3/4,-z+1/4'
'x+1/2,-y+1/2,-z+1/2'
'-x+1/2,y+1/2,z+1/2'
'-y+3/4,-x+3/4,-z+1/4'
'y+3/4,x+3/4,z+1/4'
'-x,y+1/2,-z'
'x,-y+1/2,z'
'y+3/4,x+1/4,-z+3/4'
'-y+3/4,-x+1/4,z+3/4'
loop_
_atom_site_label
_atom_site_fract_x
_atom_site_fract_y
_atom_site_fract_z
Cr1 0.0000 0.2500 0.0726
B1 0.0000 0.2500 0.2177
```

---

Entry 4:
# CrCuB

CrCuB after structural relaxation (PBE, the Materials Project database).

Output
formation enthalpy at 0 K: 187 meV per atom
calculated volume: 10.90 Å³ per atom

Cell and atoms, written as CIF:
```
data_CrCuB
_symmetry_space_group_name_H-M 'F -4 3 m'
_symmetry_Int_Tables_number 216
_symmetry_space_group_name_Hall 'F -4 2 3'
_cell_length_a 5.0765
_cell_length_b 5.0765
_cell_length_c 5.0765
_cell_angle_alpha 90.00
_cell_angle_beta 90.00
_cell_angle_gamma 90.00
loop_
_atom_site_label
_atom_site_fract_x
_atom_site_fract_y
_atom_site_fract_z
Cr1 0.0000 0.0000 0.0000
Cu1 0.0000 0.0000 0.5000
B1 0.2500 0.2500 0.7500
```

---

Entry 5:
# Er3CrB7

Er3CrB7 after structural relaxation (PBE, the Materials Project database).

Output
formation enthalpy at 0 K: -637 meV per atom
calculated volume: 11.31 Å³ per atom

Cell and atoms, written as CIF:
```
data_Er3CrB7
_symmetry_space_group_name_H-M 'C m c m'
_symmetry_Int_Tables_number 63
_symmetry_space_group_name_Hall '-C 2c 2'
_cell_length_a 3.4150
_cell_length_b 15.6874
_cell_length_c 9.2903
_cell_angle_alpha 90.00
_cell_angle_beta 90.00
_cell_angle_gamma 90.00
loop_
_atom_site_label
_atom_site_fract_x
_atom_site_fract_y
_atom_site_fract_z
Er1 0.0000 0.1051 0.0595
Er2 0.0000 0.2414 0.7500
Cr1 0.0000 0.0529 0.7500
B1 0.0000 0.2728 0.0324
B2 0.0000 0.3689 0.1511
B3 0.0000 0.4580 0.7500
B4 0.0000 0.4792 0.0959
```

---

Entry 6:
# CrFe3B2

CrFe3B2 after structural relaxation (PBE, the Materials Project database).

Output
formation enthalpy at 0 K: -283 meV per atom
calculated volume: 9.05 Å³ per atom

Cell and atoms, written as CIF:
```
data_CrFe3B2
_symmetry_space_group_name_H-M 'F m m 2'
_symmetry_Int_Tables_number 42
_symmetry_space_group_name_Hall 'F 2 -2'
_cell_length_a 4.1766
_cell_length_b 7.2582
_cell_length_c 7.1637
_cell_angle_alpha 90.00
_cell_angle_beta 90.00
_cell_angle_gamma 90.00
loop_
_atom_site_label
_atom_site_fract_x
_atom_site_fract_y
_atom_site_fract_z
Cr1 0.0000 0.0000 0.0000
Fe1 0.0000 0.0000 0.6760
Fe2 0.0000 0.1659 0.3421
B1 0.2500 0.2500 0.0922
```

---

Entry 7:
# Ho3CrB7

Ho3CrB7 after structural relaxation (PBE, the Materials Project database).

Output
formation enthalpy at 0 K: -615 meV per atom
calculated volume: 11.44 Å³ per atom

Cell and atoms, written as CIF:
```
data_Ho3CrB7
_symmetry_space_group_name_H-M 'C m c m'
_symmetry_Int_Tables_number 63
_symmetry_space_group_name_Hall '-C 2c 2'
_cell_length_a 3.4278
_cell_length_b 15.7586
_cell_length_c 9.3219
_cell_angle_alpha 90.00
_cell_angle_beta 90.00
_cell_angle_gamma 90.00
loop_
_atom_site_label
_atom_site_fract_x
_atom_site_fract_y
_atom_site_fract_z
Ho1 0.0000 0.1049 0.0597
Ho2 0.0000 0.2415 0.7500
Cr1 0.0000 0.0533 0.7500
B1 0.0000 0.2729 0.0322
B2 0.0000 0.3689 0.1513
B3 0.0000 0.4590 0.7500
B4 0.0000 0.4788 0.0963
```

---

Entry 8:
# Mg2CrB2Ir5

Mg2CrB2Ir5 after structural relaxation (PBE, the Materials Project database).

Output
formation enthalpy at 0 K: -404 meV per atom
calculated volume: 13.17 Å³ per atom

Cell and atoms, written as CIF:
```
data_Mg2CrB2Ir5
_symmetry_space_group_name_H-M 'P 4/m b m'
_symmetry_Int_Tables_number 127
_symmetry_space_group_name_Hall '-P 4 2ab'
_cell_length_a 9.5156
_cell_length_b 9.5156
_cell_length_c 2.9085
_cell_angle_alpha 90.00
_cell_angle_beta 90.00
_cell_angle_gamma 90.00
loop_
_atom_site_label
_atom_site_fract_x
_atom_site_fract_y
_atom_site_fract_z
Mg1 0.1754 0.3246 0.0000
Cr1 0.0000 0.0000 0.0000
B1 0.1252 0.6252 0.0000
Ir1 0.0000 0.5000 0.5000
Ir2 0.0729 0.7867 0.5000
```

---

Entry 9:
# TiCrB2Ir2

TiCrB2Ir2 after structural relaxation (PBE, the Materials Project database).

Output
formation enthalpy at 0 K: -626 meV per atom
calculated volume: 11.32 Å³ per atom

Cell and atoms, written as CIF:
```
data_TiCrB2Ir2
_symmetry_space_group_name_H-M 'A m m 2'
_symmetry_Int_Tables_number 38
_symmetry_space_group_name_Hall 'A 2 -2'
_cell_length_a 3.1937
_cell_length_b 14.8706
_cell_length_c 8.5842
_cell_angle_alpha 90.00
_cell_angle_beta 90.00
_cell_angle_gamma 90.00
loop_
_atom_site_label
_atom_site_fract_x
_atom_site_fract_y
_atom_site_fract_z
Ti1 0.0000 0.0000 0.0000
Ti2 0.0000 0.2052 0.6156
Cr1 0.0000 0.0000 0.5800
Cr2 0.0000 0.0852 0.3260
B1 0.0000 0.1665 0.9105
B2 0.5000 0.0000 0.2077
B3 0.5000 0.0000 0.4102
B4 0.5000 0.1014 0.5119
Ir1 0.5000 0.0923 0.7794
Ir2 0.5000 0.1384 0.0873
Ir3 0.5000 0.2308 0.3644
```

---

Entry 10:
# LuCrB4

LuCrB4 after structural relaxation (PBE, the Materials Project database).

Output
formation enthalpy at 0 K: -701 meV per atom
calculated volume: 9.42 Å³ per atom

Cell and atoms, written as CIF:
```
data_LuCrB4
_symmetry_space_group_name_H-M 'P b a m'
_symmetry_Int_Tables_number 55
_symmetry_space_group_name_Hall '-P 2 2ab'
_cell_length_a 5.8704
_cell_length_b 11.3451
_cell_length_c 3.3935
_cell_angle_alpha 90.00
_cell_angle_beta 90.00
_cell_angle_gamma 90.00
loop_
_atom_site_label
_atom_site_fract_x
_atom_site_fract_y
_atom_site_fract_z
Lu1 0.1258 0.1508 0.0000
Cr1 0.1236 0.4201 0.0000
B1 0.0239 0.6926 0.5000
B2 0.1143 0.5472 0.5000
B3 0.1350 0.9674 0.5000
B4 0.2164 0.8152 0.5000
```

---

Which formula does entry 6 have?
CrFe3B2

---

Please write out number 4 again, unchanged.
# CrCuB

CrCuB after structural relaxation (PBE, the Materials Project database).

Output
formation enthalpy at 0 K: 187 meV per atom
calculated volume: 10.90 Å³ per atom

Cell and atoms, written as CIF:
```
data_CrCuB
_symmetry_space_group_name_H-M 'F -4 3 m'
_symmetry_Int_Tables_number 216
_symmetry_space_group_name_Hall 'F -4 2 3'
_cell_length_a 5.0765
_cell_length_b 5.0765
_cell_length_c 5.0765
_cell_angle_alpha 90.00
_cell_angle_beta 90.00
_cell_angle_gamma 90.00
loop_
_atom_site_label
_atom_site_fract_x
_atom_site_fract_y
_atom_site_fract_z
Cr1 0.0000 0.0000 0.0000
Cu1 0.0000 0.0000 0.5000
B1 0.2500 0.2500 0.7500
```

---

Among the records above, which one has the highest formation enthalpy at 0 K?
CrCuB